The following is a DFT calculation (PBE) of a relaxed HoZr6P9O36 crystal.

Results
The energy is -8.20 eV/atom. As for the symmetry: No. 165. As for the total magnetization: 0.02 μB per cell. The calculation puts the energy relative to the elements at -3241 meV per atom.

Structure (POSCAR):
```
HoZr6P9O36
1.0
4.4711 -7.7441 0.0000
4.4711 7.7441 0.0000
0.0000 0.0000 22.8924
Ho Zr P O
2 12 18 72
Direct
0.0000 0.0000 0.5000
0.0000 0.0000 0.0000
0.3333 0.6667 0.5299
0.6667 0.3333 0.4701
0.6667 0.3333 0.9701
0.3333 0.6667 0.0299
0.0000 0.0000 0.6489
0.0000 0.0000 0.3511
0.0000 0.0000 0.8511
0.0000 0.0000 0.1489
0.3333 0.6667 0.8129
0.6667 0.3333 0.1871
0.6667 0.3333 0.6871
0.3333 0.6667 0.3129
0.3738 0.3172 0.5786
0.6262 0.6828 0.4214
0.6828 0.0566 0.5786
0.3172 0.3738 0.9214
0.3172 0.9434 0.4214
0.6828 0.6262 0.0786
0.9434 0.6262 0.5786
0.0566 0.6828 0.9214
0.0566 0.3738 0.4214
0.9434 0.3172 0.0786
0.6262 0.9434 0.9214
0.3738 0.0566 0.0786
0.2917 0.0000 0.7500
0.7083 0.0000 0.2500
0.0000 0.2917 0.7500
0.0000 0.7083 0.2500
0.7083 0.7083 0.7500
0.2917 0.2917 0.2500
0.4580 0.2865 0.5251
0.5420 0.7135 0.4749
0.7135 0.1714 0.5251
0.2865 0.4580 0.9749
0.2865 0.8286 0.4749
0.7135 0.5420 0.0251
0.8286 0.5420 0.5251
0.1714 0.7135 0.9749
0.1714 0.4580 0.4749
0.8286 0.2865 0.0251
0.5420 0.8286 0.9749
0.4580 0.1714 0.0251
0.3744 0.4893 0.5755
0.6256 0.5107 0.4245
0.5107 0.8851 0.5755
0.4893 0.3744 0.9245
0.4893 0.1149 0.4245
0.5107 0.6256 0.0755
0.1149 0.6256 0.5755
0.8851 0.5107 0.9245
0.8851 0.3744 0.4245
0.1149 0.4893 0.0755
0.6256 0.1149 0.9245
0.3744 0.8851 0.0755
0.1780 0.1656 0.5769
0.8220 0.8344 0.4231
0.8344 0.0124 0.5769
0.1656 0.1780 0.9231
0.1656 0.9876 0.4231
0.8344 0.8220 0.0769
0.9876 0.8220 0.5769
0.0124 0.8344 0.9231
0.0124 0.1780 0.4231
0.9876 0.1656 0.0769
0.8220 0.9876 0.9231
0.1780 0.0124 0.0769
0.0318 0.2045 0.6960
0.9682 0.7955 0.3040
0.7955 0.8273 0.6960
0.2045 0.0318 0.8040
0.2045 0.1727 0.3040
0.7955 0.9682 0.1960
0.1727 0.9682 0.6960
0.8273 0.7955 0.8040
0.8273 0.0318 0.3040
0.1727 0.2045 0.1960
0.9682 0.1727 0.8040
0.0318 0.8273 0.1960
0.4584 0.3081 0.6354
0.5416 0.6919 0.3646
0.6919 0.1504 0.6354
0.3081 0.4584 0.8646
0.3081 0.8496 0.3646
0.6919 0.5416 0.1354
0.8496 0.5416 0.6354
0.1504 0.6919 0.8646
0.1504 0.4584 0.3646
0.8496 0.3081 0.1354
0.5416 0.8496 0.8646
0.4584 0.1504 0.1354
0.4678 0.1586 0.7400
0.5322 0.8414 0.2600
0.8414 0.3092 0.7400
0.1586 0.4678 0.7600
0.1586 0.6908 0.2600
0.8414 0.5322 0.2400
0.6908 0.5322 0.7400
0.3092 0.8414 0.7600
0.3092 0.4678 0.2600
0.6908 0.1586 0.2400
0.5322 0.6908 0.7600
0.4678 0.3092 0.2400
```